Material: Sm2Zr2O7
Method: DFT, meta-GGA r2SCAN
State: optimized geometry

Summary:
Raw total energy in eV/atom: -17.148
Space-group type: Fd-3m (227)

Structure (CIF):
```
data_Sm2Zr2O7
_space_group_name_H-M_alt 'P 1'
_space_group_IT_number 1
_cell_length_a 7.5117
_cell_length_b 7.5117
_cell_length_c 7.5117
_cell_angle_alpha 60.00
_cell_angle_beta 60.00
_cell_angle_gamma 60.00
loop_
_space_group_symop_operation_xyz
'x,y,z'
loop_
_atom_site_label
_atom_site_fract_x
_atom_site_fract_y
_atom_site_fract_z
Sm1 0.0000 0.0000 0.0000
Sm2 0.0000 0.0000 0.5000
Sm3 0.0000 0.5000 0.0000
Sm4 0.5000 0.0000 0.0000
Zr1 0.0000 0.5000 0.5000
Zr2 0.5000 0.0000 0.5000
Zr3 0.5000 0.5000 0.0000
Zr4 0.5000 0.5000 0.5000
O1 0.1250 0.1250 0.1250
O2 0.1633 0.1633 0.5867
O3 0.1633 0.5867 0.1633
O4 0.1633 0.5867 0.5867
O5 0.4133 0.4133 0.8367
O6 0.4133 0.8367 0.4133
O7 0.4133 0.8367 0.8367
O8 0.5867 0.1633 0.1633
O9 0.5867 0.1633 0.5867
O10 0.5867 0.5867 0.1633
O11 0.8367 0.4133 0.4133
O12 0.8367 0.4133 0.8367
O13 0.8367 0.8367 0.4133
O14 0.8750 0.8750 0.8750
```

Material: Sn5O6
Method: DFT, meta-GGA r2SCAN
State: optimized geometry

Summary:
Raw total energy in eV/atom: -16.016
Space-group type: P2_1/c (14)

Structure (CIF):
```
data_Sn5O6
_space_group_name_H-M_alt 'P 1'
_space_group_IT_number 1
_cell_length_a 13.8456
_cell_length_b 4.8943
_cell_length_c 5.7992
_cell_angle_alpha 90.00
_cell_angle_beta 91.76
_cell_angle_gamma 90.00
loop_
_space_group_symop_operation_xyz
'x,y,z'
loop_
_atom_site_label
_atom_site_fract_x
_atom_site_fract_y
_atom_site_fract_z
Sn1 0.0000 0.0000 0.0000
Sn2 0.0000 0.5000 0.5000
Sn3 0.1910 0.0001 0.3450
Sn4 0.1910 0.4999 0.8450
Sn5 0.4030 0.0011 0.8229
Sn6 0.4030 0.4989 0.3229
Sn7 0.5970 0.5011 0.6771
Sn8 0.5970 0.9989 0.1771
Sn9 0.8090 0.9999 0.6550
Sn10 0.8090 0.5001 0.1550
O1 0.0565 0.1979 0.2905
O2 0.0565 0.3021 0.7905
O3 0.1357 0.6792 0.5355
O4 0.1357 0.8208 0.0355
O5 0.4584 0.1836 0.1284
O6 0.4584 0.3164 0.6284
O7 0.5416 0.6836 0.3716
O8 0.5416 0.8164 0.8716
O9 0.8643 0.1792 0.9645
O10 0.8643 0.3208 0.4645
O11 0.9435 0.6979 0.2095
O12 0.9435 0.8021 0.7095
```

Material: SnO
Method: DFT, meta-GGA r2SCAN
State: optimized geometry

Summary:
Raw total energy in eV/atom: -16.730
Space-group type: P4/nmm (129)

Structure (CIF):
```
data_SnO
_space_group_name_H-M_alt 'P 1'
_space_group_IT_number 1
_cell_length_a 3.8137
_cell_length_b 3.8137
_cell_length_c 4.8869
_cell_angle_alpha 90.00
_cell_angle_beta 90.00
_cell_angle_gamma 90.00
loop_
_space_group_symop_operation_xyz
'x,y,z'
loop_
_atom_site_label
_atom_site_fract_x
_atom_site_fract_y
_atom_site_fract_z
Sn1 0.2500 0.2500 0.2354
Sn2 0.7500 0.7500 0.7646
O1 0.2500 0.7500 0.0000
O2 0.7500 0.2500 0.0000
```

Repeat the first record exactly.
Material: Sm2Zr2O7
Method: DFT, meta-GGA r2SCAN
State: optimized geometry

Summary:
Raw total energy in eV/atom: -17.148
Space-group type: Fd-3m (227)

Structure (CIF):
```
data_Sm2Zr2O7
_space_group_name_H-M_alt 'P 1'
_space_group_IT_number 1
_cell_length_a 7.5117
_cell_length_b 7.5117
_cell_length_c 7.5117
_cell_angle_alpha 60.00
_cell_angle_beta 60.00
_cell_angle_gamma 60.00
loop_
_space_group_symop_operation_xyz
'x,y,z'
loop_
_atom_site_label
_atom_site_fract_x
_atom_site_fract_y
_atom_site_fract_z
Sm1 0.0000 0.0000 0.0000
Sm2 0.0000 0.0000 0.5000
Sm3 0.0000 0.5000 0.0000
Sm4 0.5000 0.0000 0.0000
Zr1 0.0000 0.5000 0.5000
Zr2 0.5000 0.0000 0.5000
Zr3 0.5000 0.5000 0.0000
Zr4 0.5000 0.5000 0.5000
O1 0.1250 0.1250 0.1250
O2 0.1633 0.1633 0.5867
O3 0.1633 0.5867 0.1633
O4 0.1633 0.5867 0.5867
O5 0.4133 0.4133 0.8367
O6 0.4133 0.8367 0.4133
O7 0.4133 0.8367 0.8367
O8 0.5867 0.1633 0.1633
O9 0.5867 0.1633 0.5867
O10 0.5867 0.5867 0.1633
O11 0.8367 0.4133 0.4133
O12 0.8367 0.4133 0.8367
O13 0.8367 0.8367 0.4133
O14 0.8750 0.8750 0.8750
```

Which of these has the highest raw total energy?
Sn5O6